Entry 1:
Here is a relaxed structure of Lu2CuOs from the Materials Project. Energies are from r2SCAN.

a = 4.7064 Å, b = 4.7064 Å, c = 4.7063 Å
α = 60.00°, β = 60.00°, γ = 60.00°
Closest atoms and distances in Å follow each position.
Sites, in units of the cell vectors:
Cu1 0.2500 0.2500 0.2500  8 Lu 2.88
Lu1 0.0000 0.0000 0.0000  4 Cu 2.88, 4 Os 2.88
Lu2 0.5000 0.5000 0.5000  4 Cu 2.88, 4 Os 2.88
Os1 0.7500 0.7500 0.7500  8 Lu 2.88

Output
- density (Mg/m³) = 13.60
- VASP energy (eV/atom) = -35.42
- calculated volume (Å³/atom) = 18.4
- M_tot (μB/cell) = 0.00
- ΔH_f (0 K) (eV per atom) = -0.42
- SG = Fm-3m, No. 225

Entry 2:
Here is a relaxed structure of NaSn2 from the Materials Project. Energies are from r2SCAN.

a = 6.9336 Å, b = 7.6102 Å, c = 15.4463 Å
α = 101.25°, β = 90.00°, γ = 117.10°
Closest atoms and distances in Å follow each position.
Sites, in units of the cell vectors:
Na1 0.2733 0.5466 0.0890  10 Sn 3.38-3.77
Na2 0.9113 0.8225 0.5825  8 Sn 3.21-3.53, 2 Na 3.50
Na3 0.7499 0.0000 0.0000  4 Sn 3.14, 2 Na 3.47
Na4 0.0887 0.1775 0.4175  8 Sn 3.21-3.53, 2 Na 3.50
Na5 0.3803 0.7606 0.5637  6 Sn 3.24-3.62, 2 Na 3.50
Na6 0.2501 0.0000 0.0000  4 Sn 3.14, 2 Na 3.47
Na7 0.7267 0.4534 0.9110  10 Sn 3.38-3.77
Na8 0.6197 0.2394 0.4363  6 Sn 3.24-3.62, 2 Na 3.50
Sn1 0.3868 0.3413 0.2528  4 Sn 2.91-3.00
Sn2 0.9545 0.3413 0.2528  4 Sn 2.91-3.00
Sn3 0.1153 0.2306 0.8847  3 Sn 2.85-2.91, 2 Na 3.14
Sn4 0.8847 0.7694 0.1153  3 Sn 2.85-2.91, 2 Na 3.14
Sn5 0.3260 0.6520 0.8853  3 Sn 2.85-2.91, 2 Na 3.14
Sn6 0.6132 0.6587 0.7472  4 Sn 2.91-3.00
Sn7 0.7581 0.0881 0.7469  4 Sn 2.91-2.97
Sn8 0.6740 0.3480 0.1147  3 Sn 2.85-2.91, 2 Na 3.14
Sn9 0.6339 0.6959 0.3939  3 Sn 2.91-2.97, 2 Na 3.21-3.24
Sn10 0.3661 0.3041 0.6061  3 Sn 2.91-2.97, 2 Na 3.21-3.24
Sn11 0.6700 0.9119 0.2531  4 Sn 2.91-2.97
Sn12 0.0620 0.6959 0.3939  3 Sn 2.91-2.97, 2 Na 3.21-3.24
Sn13 0.0455 0.6587 0.7472  4 Sn 2.91-3.00
Sn14 0.9380 0.3041 0.6061  3 Sn 2.91-2.97, 2 Na 3.21-3.24
Sn15 0.3300 0.0881 0.7469  4 Sn 2.91-2.97
Sn16 0.2419 0.9119 0.2531  4 Sn 2.91-2.97

Output
- density (Mg/m³) = 4.89
- VASP energy (eV/atom) = -17.87
- calculated volume (Å³/atom) = 29.5
- M_tot (μB/cell) = 0.00
- ΔH_f (0 K) (eV per atom) = -0.19
- SG = C2/m, No. 12